Entry 1:
{
  "formula": "CoSbP2O8",
  "functional": "GGA+U",
  "state": "optimized geometry",
  "spacegroup": "P1, No. 1",
  "polymorph_energy_ev_per_atom": 0.010,
  "magnetic_moment_mub_per_fu": 0.0,
  "dft_energy_ev_per_cell": -325.0,
  "cell": [[7.9854, 0.0000, 0.0000], [-1.8852, 7.8173, 0.0000], [-2.6777, -3.2280, 10.0672]],
  "species": ["Co", "Co", "Co", "Co", "Sb", "Sb", "Sb", "Sb", "P", "P", "P", "P", "P", "P", "P", "P", "O", "O", "O", "O", "O", "O", "O", "O", "O", "O", "O", "O", "O", "O", "O", "O", "O", "O", "O", "O", "O", "O", "O", "O", "O", "O", "O", "O", "O", "O", "O", "O"],
  "fractional_positions": [[0.0000, 0.0000, 0.0000], [0.1220, 0.6286, 0.5667], [0.4995, 0.5070, 0.9963], [0.6228, 0.1366, 0.5648], [0.0585, 0.5661, 0.0711], [0.0646, 0.0784, 0.4820], [0.5575, 0.0570, 0.0819], [0.5642, 0.5701, 0.4928], [0.1807, 0.6901, 0.8772], [0.3111, 0.7946, 0.3739], [0.3119, 0.3419, 0.1899], [0.4414, 0.4457, 0.6863], [0.6943, 0.2005, 0.8904], [0.7948, 0.3236, 0.3759], [0.8275, 0.8117, 0.1881], [0.9282, 0.9356, 0.6739], [0.0066, 0.0170, 0.8225], [0.0439, 0.7401, 0.9580], [0.0689, 0.8848, 0.6047], [0.0798, 0.5953, 0.7320], [0.1202, 0.3780, 0.1464], [0.1623, 0.6687, 0.4010], [0.2313, 0.5510, 0.9562], [0.2591, 0.7649, 0.2184], [0.2700, 0.1423, 0.1164], [0.2795, 0.2848, 0.6606], [0.3429, 0.8506, 0.9029], [0.3532, 0.9941, 0.4474], [0.3640, 0.3713, 0.3453], [0.3905, 0.5844, 0.6070], [0.4602, 0.4682, 0.1627], [0.5024, 0.7580, 0.4176], [0.5420, 0.5408, 0.8315], [0.5534, 0.2511, 0.9595], [0.5789, 0.3963, 0.6060], [0.6156, 0.1188, 0.7417], [0.6301, 0.7799, 0.1016], [0.6595, 0.1715, 0.3953], [0.7460, 0.0620, 0.9644], [0.7570, 0.7700, 0.6431], [0.7637, 0.5153, 0.4313], [0.7764, 0.2905, 0.2283], [0.8451, 0.8449, 0.3356], [0.8594, 0.6205, 0.1332], [0.8653, 0.3662, 0.9210], [0.8767, 0.0742, 0.5999], [0.9630, 0.9641, 0.1690], [0.9925, 0.3553, 0.4618]]
}

Entry 2:
{
  "formula": "Li4MnNi5O12",
  "functional": "GGA+U",
  "state": "optimized geometry",
  "spacegroup": "C2, No. 5",
  "polymorph_energy_ev_per_atom": 0.000,
  "magnetic_moment_mub_per_fu": 7.0,
  "dft_energy_ev_per_cell": -113.6,
  "cell": [[2.5242, -4.2446, 0.0000], [2.5242, 4.2446, 0.0000], [-0.3321, 0.0000, 9.9997]],
  "species": ["Li", "Li", "Li", "Li", "Mn", "Ni", "Ni", "Ni", "Ni", "Ni", "O", "O", "O", "O", "O", "O", "O", "O", "O", "O", "O", "O"],
  "fractional_positions": [[0.1035, 0.1035, 0.2510], [0.3877, 0.4026, 0.7497], [0.5974, 0.6123, 0.2503], [0.8965, 0.8965, 0.7490], [0.2462, 0.7538, 0.5000], [0.0794, 0.9206, 0.0000], [0.4087, 0.5913, 0.0000], [0.5812, 0.4188, 0.5000], [0.7471, 0.2529, 0.0000], [0.9115, 0.0885, 0.5000], [0.0696, 0.2180, 0.8917], [0.0786, 0.5916, 0.0941], [0.2226, 0.0699, 0.6075], [0.2706, 0.4377, 0.3921], [0.3997, 0.2604, 0.1017], [0.4084, 0.9215, 0.9059], [0.5623, 0.7294, 0.6079], [0.5729, 0.0804, 0.4032], [0.7396, 0.6003, 0.8983], [0.7820, 0.9304, 0.1083], [0.9196, 0.4271, 0.5968], [0.9301, 0.7774, 0.3925]]
}

Entry 3:
{
  "formula": "MgMn5FeO12",
  "functional": "GGA+U",
  "state": "optimized geometry",
  "spacegroup": "P1, No. 1",
  "polymorph_energy_ev_per_atom": 0.000,
  "magnetic_moment_mub_per_fu": 21.0,
  "dft_energy_ev_per_cell": -132.4,
  "cell": [[5.0881, 0.0000, 0.0000], [2.4689, 4.4557, 0.0000], [1.3049, 0.0811, 9.9555]],
  "species": ["Mg", "Mn", "Mn", "Mn", "Mn", "Mn", "Fe", "O", "O", "O", "O", "O", "O", "O", "O", "O", "O", "O", "O"],
  "fractional_positions": [[0.0000, 0.0000, 0.0000], [0.0838, 0.6487, 0.7520], [0.4153, 0.9799, 0.7517], [0.6019, 0.6680, 0.2484], [0.7505, 0.3157, 0.7422], [0.9302, 0.0009, 0.2688], [0.2683, 0.3341, 0.2517], [0.0566, 0.2995, 0.8528], [0.1492, 0.9421, 0.6491], [0.2534, 0.6699, 0.3504], [0.2761, 0.9931, 0.1495], [0.3437, 0.6900, 0.8645], [0.4278, 0.3200, 0.6577], [0.5789, 0.9847, 0.3511], [0.6579, 0.3154, 0.1487], [0.7369, 0.9811, 0.8527], [0.7694, 0.6610, 0.6579], [0.8930, 0.3460, 0.3512], [0.9495, 0.6983, 0.1493]]
}

Formation energy from the elements values (in eV/f.u.) by entry order: -26.7; -31.2; -35.9.
Energy with MP2020 corrections values (in eV per atom) by entry order: -7.365; -6.194; -7.958.